(1)
BaSrPrHfO6 | PBE | optimized geometry

Output
The calculated total energy comes out at -7.6890 eV/atom.

a = 6.2206 Å, b = 6.2206 Å, c = 6.2206 Å
α = 60.00°, β = 60.00°, γ = 60.00°
Positions (direct):
O 0.7644 0.2356 0.7644
O 0.2356 0.7644 0.2356
O 0.7644 0.2356 0.2356
O 0.2356 0.7644 0.7644
O 0.7644 0.7644 0.2356
O 0.2356 0.2356 0.7644
Sr 0.7500 0.7500 0.7500
Ba 0.2500 0.2500 0.2500
Pr 0.5000 0.5000 0.5000
Hf 0.0000 0.0000 0.0000


(2)
BaSrPrHfO6 | PBE | optimized geometry

Output
The calculated total energy comes out at -7.7510 eV/atom.

a = 8.6900 Å, b = 8.7407 Å, c = 8.6780 Å
α = 90.00°, β = 90.00°, γ = 90.00°
Positions (direct):
Pr 0.7533 0.2515 0.7474
Pr 0.2467 0.2515 0.2526
Pr 0.7533 0.7485 0.2526
Pr 0.2467 0.7485 0.7474
O 0.5172 0.2853 0.2208
O 0.2965 0.7899 0.4843
O 0.2083 0.4835 0.7032
O 0.2965 0.2101 0.5157
O 0.7035 0.7899 0.5157
O 0.4828 0.7147 0.2208
O 0.7917 0.4835 0.2968
O 0.5172 0.7147 0.7792
O 0.7942 0.2879 0.0164
O 0.4828 0.2853 0.7792
O 0.2784 0.0165 0.7866
O 0.9846 0.2026 0.2941
O 0.7216 0.9835 0.7866
O 0.2058 0.2879 0.9836
O 0.7917 0.5165 0.7032
O 0.7035 0.2101 0.4843
O 0.7942 0.7121 0.9836
O 0.2784 0.9835 0.2134
O 0.0154 0.2026 0.7059
O 0.2083 0.5165 0.2968
O 0.2058 0.7121 0.0164
O 0.7216 0.0165 0.2134
O 0.0154 0.7974 0.2941
O 0.9846 0.7974 0.7059
Sr 0.0000 0.0000 0.5000
Sr 0.5000 0.0000 0.5000
Sr 0.0000 0.5000 0.5000
Sr 0.0000 0.5000 0.0000
Hf 0.2448 0.7477 0.2530
Hf 0.7552 0.2523 0.2530
Hf 0.2448 0.2523 0.7470
Hf 0.7552 0.7477 0.7470
Ba 0.5000 0.0000 0.0000
Ba 0.5000 0.5000 0.0000
Ba 0.0000 0.0000 0.0000
Ba 0.5000 0.5000 0.5000


Copy entry 1 word for word.
BaSrPrHfO6 | PBE | optimized geometry

Output
The calculated total energy comes out at -7.6890 eV/atom.

a = 6.2206 Å, b = 6.2206 Å, c = 6.2206 Å
α = 60.00°, β = 60.00°, γ = 60.00°
Positions (direct):
O 0.7644 0.2356 0.7644
O 0.2356 0.7644 0.2356
O 0.7644 0.2356 0.2356
O 0.2356 0.7644 0.7644
O 0.7644 0.7644 0.2356
O 0.2356 0.2356 0.7644
Sr 0.7500 0.7500 0.7500
Ba 0.2500 0.2500 0.2500
Pr 0.5000 0.5000 0.5000
Hf 0.0000 0.0000 0.0000


- The lowest calculated total energy belongs to which entry?
  number 2